<P>
YMg6Si | PBE | relaxed

Cell: 4.950 6.554 11.165 Å, 90.00 90.00 90.00°
Fractional positions:
Mg 0.500 0.238 0.421
Mg 0.500 0.262 0.921
Mg 0.000 0.247 0.580
Mg 0.000 0.753 0.580
Mg 0.500 0.000 0.168
Mg 0.500 0.762 0.421
Mg 0.000 0.000 0.335
Mg 0.000 0.500 0.835
Mg 0.500 0.500 0.668
Mg 0.000 0.747 0.080
Mg 0.000 0.253 0.080
Mg 0.500 0.738 0.921
Y 0.000 0.500 0.322
Y 0.000 0.000 0.822
Si 0.500 0.500 0.172
Si 0.500 0.000 0.672

Computed properties:
- calculated density (g cm⁻³) = 2.41



<Q>
YMg6Si | PBE | relaxed

Cell: 5.083 6.063 11.682 Å, 90.00 90.00 90.00°
Fractional positions:
Y 0.500 0.500 0.677
Y 0.500 0.000 0.177
Mg 0.000 0.747 0.077
Mg 0.500 0.750 0.425
Mg 0.500 0.250 0.925
Mg 0.000 0.500 0.320
Mg 0.000 0.753 0.577
Mg 0.500 0.750 0.925
Mg 0.000 0.247 0.577
Mg 0.500 0.250 0.425
Mg 0.000 0.253 0.077
Mg 0.000 0.500 0.839
Mg 0.000 0.000 0.339
Mg 0.000 0.000 0.820
Si 0.500 0.000 0.661
Si 0.500 0.500 0.161

Computed properties:
- calculated density (g cm⁻³) = 2.42



Which is the most stable structure? <Q> is the most stable.



<P>
YMg14Si | PBE | relaxed

Cell: 6.437 6.221 10.314 Å, 90.00 90.00 118.89°
Fractional positions:
Mg 0.335 0.671 0.377
Mg 0.166 0.333 0.625
Mg 0.335 0.164 0.377
Mg 0.665 0.830 0.625
Mg 0.833 0.166 0.868
Mg 0.659 0.834 0.125
Mg 0.335 0.164 0.873
Mg 0.659 0.324 0.125
Mg 0.841 0.670 0.883
Mg 0.841 0.670 0.367
Mg 0.665 0.335 0.625
Mg 0.335 0.671 0.873
Mg 0.162 0.831 0.625
Mg 0.833 0.166 0.382
Y 0.158 0.329 0.125
Si 0.179 0.839 0.125

Computed properties:
- calculated density (g cm⁻³) = 2.10



<Q>
YMg14Si | PBE | relaxed

Cell: 6.398 6.398 10.318 Å, 90.00 90.00 120.00°
Fractional positions:
Mg 0.833 0.667 0.884
Mg 0.833 0.667 0.366
Mg 0.178 0.839 0.125
Mg 0.330 0.660 0.384
Mg 0.330 0.660 0.866
Mg 0.840 0.170 0.384
Mg 0.330 0.170 0.384
Mg 0.161 0.830 0.625
Mg 0.670 0.830 0.625
Mg 0.330 0.170 0.866
Mg 0.840 0.170 0.866
Mg 0.661 0.322 0.125
Mg 0.661 0.839 0.125
Mg 0.670 0.339 0.625
Si 0.167 0.333 0.625
Y 0.167 0.333 0.125

Computed properties:
- calculated density (g cm⁻³) = 2.08



Which is the most stable structure? <P> is the most stable.



<P>
Mg14ZnSi | PBE | relaxed

Cell: 6.232 6.232 10.253 Å, 90.00 90.00 120.00°
Fractional positions:
Mg 0.833 0.667 0.374
Mg 0.667 0.334 0.625
Mg 0.838 0.169 0.875
Mg 0.331 0.169 0.375
Mg 0.331 0.662 0.875
Mg 0.838 0.169 0.375
Mg 0.667 0.833 0.125
Mg 0.331 0.169 0.875
Mg 0.166 0.833 0.625
Mg 0.667 0.833 0.625
Mg 0.331 0.662 0.375
Mg 0.667 0.333 0.125
Mg 0.833 0.667 0.876
Mg 0.167 0.833 0.125
Si 0.167 0.333 0.625
Zn 0.167 0.333 0.125

Computed properties:
- calculated density (g cm⁻³) = 2.09



<Q>
Mg14ZnSi | PBE | relaxed

Cell: 6.227 6.266 10.261 Å, 90.00 90.00 120.21°
Fractional positions:
Zn 0.163 0.332 0.125
Mg 0.671 0.335 0.125
Mg 0.836 0.168 0.875
Mg 0.837 0.668 0.373
Mg 0.665 0.334 0.625
Mg 0.170 0.335 0.625
Mg 0.665 0.832 0.625
Mg 0.837 0.668 0.877
Mg 0.328 0.664 0.884
Mg 0.328 0.164 0.884
Mg 0.328 0.664 0.366
Mg 0.836 0.168 0.375
Mg 0.328 0.164 0.366
Mg 0.169 0.834 0.625
Mg 0.671 0.836 0.125
Si 0.165 0.833 0.125

Computed properties:
- calculated density (g cm⁻³) = 2.08



Which is the most stable structure? <P> is the most stable.



<P>
Mg14ZrSi | PBE | relaxed

Cell: 6.290 6.290 10.260 Å, 90.00 90.00 120.00°
Fractional positions:
Mg 0.327 0.173 0.872
Mg 0.663 0.326 0.125
Mg 0.846 0.173 0.872
Mg 0.846 0.173 0.378
Mg 0.327 0.654 0.872
Mg 0.833 0.667 0.883
Mg 0.668 0.336 0.625
Mg 0.164 0.832 0.625
Mg 0.833 0.667 0.367
Mg 0.327 0.654 0.378
Mg 0.663 0.837 0.125
Mg 0.668 0.832 0.625
Mg 0.174 0.837 0.125
Mg 0.327 0.173 0.378
Si 0.167 0.333 0.625
Zr 0.167 0.333 0.125

Computed properties:
- calculated density (g cm⁻³) = 2.17



<Q>
Mg14ZrSi | PBE | relaxed

Cell: 6.360 6.159 10.206 Å, 90.00 90.00 118.96°
Fractional positions:
Mg 0.665 0.334 0.625
Mg 0.165 0.832 0.625
Mg 0.837 0.168 0.377
Mg 0.665 0.835 0.125
Mg 0.839 0.669 0.370
Mg 0.333 0.668 0.372
Mg 0.333 0.165 0.878
Mg 0.665 0.831 0.625
Mg 0.665 0.330 0.125
Mg 0.333 0.668 0.878
Mg 0.167 0.333 0.625
Mg 0.837 0.168 0.873
Mg 0.839 0.669 0.880
Mg 0.333 0.165 0.372
Si 0.168 0.834 0.125
Zr 0.160 0.330 0.125

Computed properties:
- calculated density (g cm⁻³) = 2.18



Which is the most stable structure? <Q> is the most stable.



<P>
Mg6ZrSi | PBE | relaxed

Cell: 5.052 5.880 11.294 Å, 90.00 90.00 90.00°
Fractional positions:
Mg 0.000 0.000 0.819
Mg 0.000 0.000 0.332
Mg 0.000 0.251 0.579
Mg 0.500 0.749 0.924
Mg 0.500 0.751 0.424
Mg 0.000 0.500 0.832
Mg 0.500 0.249 0.424
Mg 0.000 0.249 0.079
Mg 0.000 0.749 0.579
Mg 0.000 0.500 0.319
Mg 0.500 0.251 0.924
Mg 0.000 0.751 0.079
Si 0.500 0.500 0.167
Si 0.500 0.000 0.667
Zr 0.500 0.500 0.677
Zr 0.500 0.000 0.177

Computed properties:
- calculated density (g cm⁻³) = 2.62



<Q>
Mg6ZrSi | PBE | relaxed

Cell: 4.824 6.413 10.848 Å, 90.00 90.00 90.00°
Fractional positions:
Mg 0.500 0.255 0.917
Mg 0.500 0.000 0.168
Mg 0.500 0.745 0.917
Mg 0.500 0.500 0.668
Mg 0.000 0.248 0.582
Mg 0.500 0.245 0.417
Mg 0.000 0.748 0.082
Mg 0.500 0.755 0.417
Mg 0.000 0.752 0.582
Mg 0.000 0.000 0.333
Mg 0.000 0.252 0.082
Mg 0.000 0.500 0.833
Zr 0.000 0.000 0.823
Zr 0.000 0.500 0.323
Si 0.500 0.000 0.679
Si 0.500 0.500 0.179

Computed properties:
- calculated density (g cm⁻³) = 2.62



Which is the most stable structure? <P> is the most stable.



<P>
YMg6Sn | PBE | relaxed

Cell: 5.192 6.321 11.755 Å, 90.00 90.00 90.00°
Fractional positions:
Y 0.500 0.000 0.174
Y 0.500 0.500 0.674
Mg 0.000 0.747 0.574
Mg 0.000 0.000 0.336
Mg 0.500 0.250 0.421
Mg 0.500 0.750 0.421
Mg 0.500 0.250 0.921
Mg 0.000 0.500 0.836
Mg 0.000 0.753 0.074
Mg 0.000 0.253 0.574
Mg 0.000 0.247 0.074
Mg 0.000 0.500 0.332
Mg 0.000 0.000 0.832
Mg 0.500 0.750 0.921
Sn 0.500 0.500 0.167
Sn 0.500 0.000 0.667

Computed properties:
- calculated density (g cm⁻³) = 3.04



<Q>
YMg6Sn | PBE | relaxed

Cell: 5.127 6.653 11.420 Å, 90.00 90.00 90.00°
Fractional positions:
Mg 0.500 0.761 0.420
Mg 0.000 0.500 0.836
Mg 0.500 0.239 0.420
Mg 0.500 0.500 0.668
Mg 0.000 0.754 0.080
Mg 0.000 0.246 0.080
Mg 0.000 0.746 0.580
Mg 0.000 0.000 0.336
Mg 0.500 0.739 0.920
Mg 0.500 0.000 0.168
Mg 0.000 0.254 0.580
Mg 0.500 0.261 0.920
Sn 0.500 0.500 0.168
Sn 0.500 0.000 0.668
Y 0.000 0.000 0.829
Y 0.000 0.500 0.329

Computed properties:
- calculated density (g cm⁻³) = 3.01



Which is the most stable structure? <P> is the most stable.